(1)
CaWO3 GGA+U optimized geometry; magnetic moment = 8.00 μB/cell
1.0
5.794 0.000 0.000
0.000 7.910 0.000
0.000 0.000 5.581
Ca W O
4 4 12
direct
0.049 0.250 0.013 Ca
0.451 0.750 0.513 Ca
0.549 0.250 0.487 Ca
0.951 0.750 0.987 Ca
0.000 0.000 0.500 W
0.000 0.500 0.500 W
0.500 0.000 0.000 W
0.500 0.500 0.000 W
0.041 0.750 0.399 O
0.204 0.555 0.809 O
0.204 0.945 0.809 O
0.296 0.055 0.309 O
0.296 0.445 0.309 O
0.459 0.250 0.899 O
0.541 0.750 0.101 O
0.704 0.555 0.691 O
0.704 0.945 0.691 O
0.796 0.055 0.191 O
0.796 0.445 0.191 O
0.959 0.250 0.601 O

---

(2)
Ca2W9O13 GGA+U optimized geometry; magnetic moment = 1.06 μB/cell
1.0
3.296 0.000 0.000
0.525 5.480 0.000
1.236 0.095 18.369
Ca W O
2 9 13
direct
0.179 0.068 0.270 Ca
0.821 0.932 0.730 Ca
0.164 0.401 0.838 W
0.223 0.175 0.458 W
0.271 0.007 0.070 W
0.333 0.367 0.627 W
0.500 0.500 0.000 W
0.667 0.633 0.373 W
0.729 0.993 0.930 W
0.777 0.825 0.542 W
0.836 0.599 0.162 W
0.003 0.617 0.934 O
0.134 0.887 0.388 O
0.216 0.375 0.361 O
0.248 0.031 0.864 O
0.276 0.219 0.734 O
0.349 0.395 0.198 O
0.500 0.500 0.500 O
0.651 0.605 0.802 O
0.724 0.781 0.266 O
0.752 0.969 0.136 O
0.784 0.625 0.639 O
0.866 0.113 0.612 O
0.997 0.383 0.066 O

---

(3)
Ca9W20O60 GGA+U optimized geometry; magnetic moment = 5.98 μB/cell
1.0
12.353 -3.799 0.000
12.353 3.799 0.000
-12.330 0.000 12.409
Ca W O
9 20 60
direct
0.000 0.000 0.000 Ca
0.127 0.127 0.417 Ca
0.149 0.149 0.772 Ca
0.331 0.331 0.306 Ca
0.504 0.504 0.942 Ca
0.679 0.679 0.476 Ca
0.694 0.694 0.839 Ca
0.840 0.840 0.263 Ca
0.916 0.916 0.130 Ca
0.024 0.521 0.425 W
0.027 0.519 0.052 W
0.100 0.595 0.916 W
0.103 0.607 0.710 W
0.224 0.727 0.544 W
0.238 0.730 0.338 W
0.311 0.807 0.830 W
0.312 0.806 0.200 W
0.418 0.914 0.626 W
0.418 0.916 0.128 W
0.519 0.027 0.052 W
0.521 0.024 0.425 W
0.595 0.100 0.916 W
0.607 0.103 0.710 W
0.727 0.224 0.544 W
0.730 0.238 0.338 W
0.806 0.312 0.200 W
0.807 0.311 0.830 W
0.914 0.418 0.626 W
0.916 0.418 0.128 W
0.002 0.002 0.378 O
0.013 0.615 0.563 O
0.042 0.428 0.285 O
0.047 0.435 0.786 O
0.054 0.054 0.846 O
0.056 0.460 0.152 O
0.063 0.695 0.198 O
0.078 0.078 0.198 O
0.132 0.132 0.088 O
0.142 0.755 0.053 O
0.165 0.579 0.478 O
0.170 0.170 0.593 O
0.181 0.608 0.858 O
0.211 0.839 0.272 O
0.218 0.652 0.399 O
0.221 0.813 0.685 O
0.264 0.264 0.445 O
0.266 0.661 0.782 O
0.281 0.884 0.616 O
0.291 0.291 0.053 O
0.335 0.335 0.681 O
0.363 0.363 0.952 O
0.367 0.778 0.097 O
0.380 0.947 0.888 O
0.401 0.794 0.470 O
0.408 0.796 0.975 O
0.428 0.042 0.285 O
0.435 0.047 0.786 O
0.446 0.890 0.360 O
0.460 0.056 0.152 O
0.466 0.466 0.301 O
0.497 0.497 0.571 O
0.543 0.543 0.199 O
0.556 0.941 0.634 O
0.574 0.574 0.813 O
0.579 0.165 0.478 O
0.608 0.181 0.858 O
0.615 0.013 0.563 O
0.618 0.995 0.978 O
0.652 0.218 0.399 O
0.661 0.266 0.782 O
0.665 0.665 0.666 O
0.695 0.063 0.198 O
0.704 0.704 0.173 O
0.748 0.748 0.040 O
0.755 0.142 0.053 O
0.775 0.775 0.403 O
0.778 0.367 0.097 O
0.794 0.401 0.470 O
0.796 0.408 0.975 O
0.813 0.221 0.685 O
0.834 0.834 0.876 O
0.839 0.211 0.272 O
0.884 0.281 0.616 O
0.884 0.884 0.749 O
0.890 0.446 0.360 O
0.941 0.556 0.634 O
0.947 0.380 0.888 O
0.950 0.950 0.506 O
0.995 0.618 0.978 O

---

(4)
CaW5O7 GGA+U optimized geometry; magnetic moment = 4.00 μB/cell
1.0
1.636 -5.395 0.000
1.636 5.395 0.000
0.000 0.000 18.670
Ca W O
2 10 14
direct
0.183 0.817 0.750 Ca
0.817 0.183 0.250 Ca
0.000 0.000 0.000 W
0.000 0.000 0.500 W
0.315 0.685 0.073 W
0.315 0.685 0.427 W
0.441 0.559 0.647 W
0.441 0.559 0.853 W
0.559 0.441 0.147 W
0.559 0.441 0.353 W
0.685 0.315 0.573 W
0.685 0.315 0.927 W
0.093 0.907 0.636 O
0.093 0.907 0.864 O
0.189 0.811 0.169 O
0.189 0.811 0.331 O
0.302 0.698 0.547 O
0.302 0.698 0.953 O
0.474 0.526 0.250 O
0.526 0.474 0.750 O
0.698 0.302 0.047 O
0.698 0.302 0.453 O
0.811 0.189 0.669 O
0.811 0.189 0.831 O
0.907 0.093 0.136 O
0.907 0.093 0.364 O

---

(5)
CaW2O5 GGA+U optimized geometry; offset from the most stable computed form = 0.0 meV per atom; magnetic moment = 8.00 μB/cell
1.0
3.631 0.000 0.000
0.000 13.196 0.000
0.000 0.000 5.162
Ca W O
2 4 10
direct
0.250 0.250 0.045 Ca
0.750 0.750 0.955 Ca
0.250 0.604 0.473 W
0.250 0.896 0.473 W
0.750 0.104 0.527 W
0.750 0.396 0.527 W
0.250 0.063 0.389 O
0.250 0.437 0.389 O
0.250 0.641 0.118 O
0.250 0.750 0.631 O
0.250 0.859 0.118 O
0.750 0.141 0.882 O
0.750 0.250 0.369 O
0.750 0.359 0.882 O
0.750 0.563 0.611 O
0.750 0.937 0.611 O

---

(6)
CaW2O6 GGA+U optimized geometry; magnetic moment = 4.00 μB/cell
1.0
5.519 0.000 0.000
0.001 5.583 0.000
0.003 0.028 7.816
Ca W O
2 4 12
direct
0.000 0.000 0.000 Ca
0.500 0.416 0.499 Ca
0.492 0.953 0.749 W
0.493 0.957 0.248 W
0.991 0.467 0.248 W
0.993 0.463 0.748 W
0.066 0.475 0.493 O
0.195 0.757 0.207 O
0.202 0.760 0.789 O
0.283 0.235 0.222 O
0.287 0.230 0.778 O
0.438 0.977 0.505 O
0.571 0.944 0.994 O
0.682 0.673 0.708 O
0.689 0.673 0.289 O
0.772 0.171 0.724 O
0.775 0.180 0.279 O
0.941 0.443 0.005 O

---

(7)
CaW3O7 GGA+U optimized geometry; magnetic moment = 8.00 μB/cell
1.0
10.188 0.000 0.000
0.000 10.642 0.000
0.000 0.000 5.356
Ca W O
4 12 28
direct
0.137 0.250 0.163 Ca
0.363 0.750 0.663 Ca
0.637 0.250 0.337 Ca
0.863 0.750 0.837 Ca
0.143 0.016 0.622 W
0.143 0.484 0.622 W
0.147 0.750 0.157 W
0.353 0.250 0.657 W
0.357 0.516 0.122 W
0.357 0.984 0.122 W
0.643 0.016 0.878 W
0.643 0.484 0.878 W
0.647 0.750 0.343 W
0.853 0.250 0.843 W
0.857 0.516 0.378 W
0.857 0.984 0.378 W
0.033 0.069 0.315 O
0.033 0.431 0.315 O
0.038 0.250 0.754 O
0.209 0.618 0.909 O
0.209 0.882 0.909 O
0.234 0.615 0.389 O
0.234 0.885 0.389 O
0.266 0.115 0.889 O
0.266 0.385 0.889 O
0.291 0.118 0.409 O
0.291 0.382 0.409 O
0.462 0.750 0.254 O
0.467 0.569 0.815 O
0.467 0.931 0.815 O
0.533 0.069 0.185 O
0.533 0.431 0.185 O
0.538 0.250 0.746 O
0.709 0.618 0.591 O
0.709 0.882 0.591 O
0.734 0.615 0.111 O
0.734 0.885 0.111 O
0.766 0.115 0.611 O
0.766 0.385 0.611 O
0.791 0.118 0.091 O
0.791 0.382 0.091 O
0.962 0.750 0.246 O
0.967 0.569 0.685 O
0.967 0.931 0.685 O

---

(8)
Ca2WO5 GGA+U optimized geometry; offset from the most stable computed form = 0.0 meV per atom
1.0
7.551 0.000 0.000
0.000 5.374 0.000
-3.560 0.000 10.616
Ca W O
8 4 20
direct
0.153 0.069 0.314 Ca
0.153 0.431 0.814 Ca
0.345 0.507 0.132 Ca
0.345 0.993 0.632 Ca
0.655 0.007 0.368 Ca
0.655 0.493 0.868 Ca
0.847 0.569 0.186 Ca
0.847 0.931 0.686 Ca
0.000 0.000 0.000 W
0.000 0.500 0.500 W
0.500 0.000 0.000 W
0.500 0.500 0.500 W
0.009 0.239 0.619 O
0.009 0.261 0.119 O
0.113 0.713 0.642 O
0.113 0.787 0.142 O
0.251 0.131 0.000 O
0.251 0.369 0.500 O
0.393 0.693 0.926 O
0.393 0.807 0.426 O
0.447 0.156 0.834 O
0.447 0.344 0.334 O
0.553 0.656 0.666 O
0.553 0.844 0.166 O
0.607 0.193 0.574 O
0.607 0.307 0.074 O
0.749 0.631 0.500 O
0.749 0.869 0.000 O
0.887 0.213 0.858 O
0.887 0.287 0.358 O
0.991 0.739 0.881 O
0.991 0.761 0.381 O

---

| no. | E_tot (eV/cell) |
| --- | --- |
| 1 | -145.46 |
| 2 | -165.19 |
| 3 | -659.93 |
| 4 | -177.94 |
| 5 | -114.25 |
| 6 | -133.17 |
| 7 | -319.94 |
| 8 | -229.07 |